Tm6Ga21Co7 | PBE | relaxed

POSCAR file:
```
Tm6Ga21Co7
1.0
16.5867 0.0000 0.0000
0.0000 16.5867 0.0000
0.0000 0.0000 4.1370
Tm Ga Co
12 42 14
Direct
0.0867 0.1576 0.0000
0.1076 0.6076 0.5000
0.1576 0.9133 0.0000
0.3424 0.4133 0.0000
0.3923 0.1076 0.5000
0.4133 0.6576 0.0000
0.5867 0.3424 0.0000
0.6076 0.8924 0.5000
0.6576 0.5867 0.0000
0.8424 0.0867 0.0000
0.8924 0.3923 0.5000
0.9133 0.8424 0.0000
0.0000 0.5000 0.0000
0.0318 0.8899 0.5000
0.0427 0.2710 0.5000
0.0739 0.4261 0.5000
0.0754 0.7424 0.0000
0.1101 0.0318 0.5000
0.1788 0.7911 0.5000
0.1796 0.3204 0.0000
0.2089 0.1788 0.5000
0.2290 0.4573 0.5000
0.2424 0.5754 0.0000
0.2576 0.0754 0.0000
0.2710 0.9573 0.5000
0.2911 0.6788 0.5000
0.3204 0.8204 0.0000
0.3212 0.2911 0.5000
0.3899 0.5318 0.5000
0.4246 0.2424 0.0000
0.4261 0.9261 0.5000
0.4573 0.7710 0.5000
0.4682 0.3899 0.5000
0.5000 0.0000 0.0000
0.5318 0.6101 0.5000
0.5427 0.2290 0.5000
0.5739 0.0739 0.5000
0.5754 0.7576 0.0000
0.6101 0.4682 0.5000
0.6788 0.7089 0.5000
0.6796 0.1796 0.0000
0.7089 0.3212 0.5000
0.7290 0.0427 0.5000
0.7424 0.9246 0.0000
0.7576 0.4246 0.0000
0.7710 0.5427 0.5000
0.7911 0.8212 0.5000
0.8204 0.6796 0.0000
0.8212 0.2089 0.5000
0.8899 0.9682 0.5000
0.9246 0.2576 0.0000
0.9261 0.5739 0.5000
0.9573 0.7290 0.5000
0.9682 0.1101 0.5000
0.0000 0.0000 0.0000
0.0356 0.3509 0.0000
0.1491 0.4644 0.0000
0.2187 0.7187 0.0000
0.2813 0.2187 0.0000
0.3509 0.9644 0.0000
0.4644 0.8509 0.0000
0.5000 0.5000 0.0000
0.5356 0.1491 0.0000
0.6491 0.0356 0.0000
0.7187 0.7813 0.0000
0.7813 0.2813 0.0000
0.8509 0.5356 0.0000
0.9644 0.6491 0.0000
```

space-group type	No. 127
DFT total energy	-4.5995	eV per atom

---

Ca3Al2O12 | PBE | relaxed

POSCAR file:
```
Ca3Al2O12
1.0
-6.4947 6.4947 6.4947
6.4947 -6.4947 6.4947
6.4947 6.4947 -6.4947
Ca Al O
12 8 48
Direct
0.1180 0.2500 0.3680
0.1320 0.3820 0.7500
0.2500 0.3680 0.1180
0.2500 0.8820 0.6320
0.3680 0.1180 0.2500
0.3820 0.7500 0.1320
0.6180 0.8680 0.7500
0.6320 0.2500 0.8820
0.7500 0.1320 0.3820
0.7500 0.6180 0.8680
0.8680 0.7500 0.6180
0.8820 0.6320 0.2500
0.0000 0.0050 0.5000
0.0000 0.5050 0.5000
0.0050 0.5000 0.0000
0.4950 0.4950 0.4950
0.5000 0.0000 0.0050
0.5000 0.0000 0.5050
0.5050 0.5000 0.0000
0.9950 0.9950 0.9950
0.0423 0.1833 0.1105
0.0511 0.3589 0.9263
0.0673 0.6922 0.6411
0.0682 0.9577 0.6410
0.0729 0.8895 0.4318
0.0737 0.6248 0.4327
0.1105 0.0423 0.1833
0.1248 0.5737 0.9327
0.1411 0.1922 0.5673
0.1410 0.4577 0.5682
0.1833 0.1105 0.0423
0.1922 0.5673 0.1411
0.3078 0.4489 0.3752
0.3167 0.3590 0.9271
0.3589 0.9263 0.0511
0.3590 0.9271 0.3167
0.3752 0.3078 0.4489
0.3895 0.5729 0.9318
0.4263 0.8589 0.5511
0.4271 0.8590 0.8167
0.4318 0.0729 0.8895
0.4327 0.0737 0.6248
0.4489 0.3752 0.3078
0.4577 0.5682 0.1410
0.5423 0.6105 0.6833
0.5511 0.4263 0.8589
0.5673 0.1411 0.1922
0.5682 0.1410 0.4577
0.5729 0.9318 0.3895
0.5737 0.9327 0.1248
0.6105 0.6833 0.5423
0.6248 0.4327 0.0737
0.6411 0.0673 0.6922
0.6410 0.0682 0.9577
0.6833 0.5423 0.6105
0.6922 0.6411 0.0673
0.8078 0.8752 0.9489
0.8167 0.4271 0.8590
0.8589 0.5511 0.4263
0.8590 0.8167 0.4271
0.8752 0.9489 0.8078
0.8895 0.4318 0.0729
0.9263 0.0511 0.3589
0.9271 0.3167 0.3590
0.9318 0.3895 0.5729
0.9327 0.1248 0.5737
0.9489 0.8078 0.8752
0.9577 0.6410 0.0682
```

space-group type	No. 220
DFT total energy	-5.5954	eV per atom
total energy after the MP2020 corrections	-413.46	eV for the cell shown

---

Na14Zr4In4Si9S3O48 | PBE | relaxed

POSCAR file:
```
Na14Zr4In4Si9S3O48
1.0
9.2875 0.0000 0.0000
0.0043 16.0653 0.0000
0.0303 0.0816 22.7670
Na Zr In Si S O
42 12 12 27 9 144
Direct
0.0000 0.0000 0.0000
0.0003 0.6531 0.3498
0.0172 0.2870 0.3318
0.1270 0.7903 0.8274
0.1397 0.1532 0.8366
0.1439 0.4984 0.5050
0.1469 0.4505 0.1756
0.1681 0.1422 0.1675
0.1890 0.8038 0.5132
0.2001 0.4748 0.8410
0.3093 0.6294 0.9187
0.3132 0.3110 0.2551
0.3138 0.9714 0.0853
0.3183 0.3043 0.7551
0.3217 0.9685 0.5911
0.3285 0.6367 0.4288
0.4458 0.4805 0.3469
0.4598 0.1403 0.6734
0.4657 0.8088 0.0043
0.4948 0.4535 0.6743
0.4993 0.1518 0.3471
0.4997 0.4806 0.0004
0.5108 0.1271 0.9977
0.5185 0.7872 0.3415
0.6242 0.2853 0.8357
0.6320 0.6256 0.5015
0.6418 0.9866 0.5062
0.6431 0.6528 0.8423
0.6466 0.9574 0.1774
0.6723 0.6404 0.1740
0.6750 0.3066 0.5125
0.6974 0.9829 0.8396
0.8154 0.1357 0.9231
0.8151 0.4612 0.0866
0.8164 0.8116 0.2601
0.8285 0.4693 0.5870
0.8291 0.1293 0.4249
0.8296 0.8142 0.7533
0.9429 0.9760 0.3454
0.9537 0.3020 0.0097
0.9755 0.6420 0.6678
0.9992 0.9584 0.6738
0.3128 0.9771 0.7339
0.3200 0.3106 0.1028
0.3205 0.9733 0.2363
0.3250 0.9827 0.4459
0.3280 0.3044 0.6095
0.3335 0.6373 0.0703
0.8091 0.8097 0.1066
0.8192 0.1356 0.5744
0.8186 0.4819 0.9447
0.8223 0.4722 0.7362
0.8228 0.4719 0.2366
0.8234 0.8115 0.6029
0.3079 0.6339 0.7706
0.3114 0.6416 0.5706
0.3182 0.3079 0.4064
0.3244 0.9854 0.9377
0.3333 0.3067 0.9067
0.3330 0.6348 0.2721
0.8093 0.8068 0.4082
0.8194 0.4834 0.4402
0.8202 0.1355 0.7685
0.8233 0.8081 0.9046
0.8314 0.1418 0.0703
0.8354 0.1329 0.2707
0.0235 0.9735 0.8420
0.1137 0.1436 0.6758
0.1181 0.4747 0.3400
0.1711 0.4902 0.6711
0.1712 0.7882 0.6724
0.1721 0.4567 0.0031
0.1747 0.1223 0.3379
0.1748 0.1593 0.0041
0.4647 0.7896 0.1722
0.4721 0.4876 0.1736
0.4725 0.4541 0.5035
0.4739 0.1247 0.8377
0.4760 0.1623 0.5033
0.5216 0.8049 0.5028
0.5236 0.4751 0.8383
0.6187 0.9751 0.3376
0.6212 0.3050 0.0033
0.6676 0.9557 0.0029
0.6704 0.9869 0.6741
0.6735 0.6244 0.3374
0.6741 0.6616 0.0048
0.6786 0.2898 0.6719
0.9680 0.6223 0.8380
0.9685 0.6589 0.5037
0.9692 0.9571 0.5016
0.9704 0.2891 0.1725
0.9715 0.9886 0.1709
0.0241 0.3053 0.5041
0.0282 0.6413 0.1735
0.1167 0.8044 0.0056
0.1757 0.8273 0.3389
0.4655 0.8262 0.8394
0.5247 0.1410 0.1736
0.6181 0.6407 0.6735
0.6761 0.3260 0.3389
0.9662 0.3290 0.8409
0.0006 0.1273 0.6219
0.0099 0.4626 0.2825
0.0147 0.8128 0.0554
0.0165 0.8224 0.3395
0.0208 0.4847 0.3993
0.0300 0.1581 0.7379
0.0390 0.7928 0.9495
0.1008 0.2945 0.4471
0.1088 0.6530 0.2287
0.1188 0.9806 0.9027
0.1253 0.3234 0.8412
0.1259 0.3144 0.5531
0.1265 0.6314 0.1227
0.1331 0.9604 0.7857
0.1442 0.6321 0.8386
0.1439 0.6491 0.5048
0.1452 0.9581 0.4979
0.1481 0.9851 0.1787
0.1498 0.2963 0.1692
0.1901 0.5513 0.6143
0.1958 0.7316 0.7322
0.2018 0.2159 0.9454
0.2041 0.3982 0.0618
0.2081 0.8804 0.0049
0.2112 0.5621 0.3350
0.2124 0.0570 0.6771
0.2115 0.0589 0.3922
0.2124 0.7306 0.0130
0.2132 0.8802 0.2865
0.2202 0.3903 0.3398
0.2280 0.2193 0.6657
0.2321 0.8837 0.6789
0.2363 0.8659 0.3922
0.2388 0.7431 0.3333
0.2389 0.7488 0.6132
0.2406 0.0761 0.2787
0.2429 0.2057 0.0630
0.2435 0.3985 0.6619
0.2452 0.5496 0.0139
0.2523 0.0666 0.0060
0.2540 0.2139 0.3413
0.2536 0.4207 0.9450
0.2543 0.5232 0.7303
0.3850 0.2137 0.8380
0.3906 0.5246 0.2313
0.3963 0.4180 0.4433
0.3976 0.3964 0.1658
0.3990 0.7430 0.1141
0.4024 0.0717 0.7829
0.4032 0.7413 0.8338
0.4057 0.2077 0.5602
0.4073 0.8863 0.1751
0.4082 0.5483 0.5111
0.4076 0.8610 0.8952
0.4101 0.0668 0.5016
0.4188 0.3931 0.8389
0.4198 0.8889 0.4994
0.4242 0.7218 0.5116
0.4246 0.2130 0.1685
0.4276 0.8801 0.7889
0.4320 0.0634 0.1772
0.4323 0.5638 0.8357
0.4325 0.3932 0.5594
0.4370 0.5512 0.1172
0.4393 0.7334 0.2308
0.4513 0.2161 0.4428
0.4618 0.0683 0.8981
0.4900 0.9535 0.0014
0.4946 0.6538 0.0106
0.4947 0.9845 0.6780
0.4978 0.6377 0.3356
0.4999 0.2991 0.6666
0.5041 0.3233 0.0564
0.5116 0.9841 0.3947
0.5131 0.9638 0.2794
0.5161 0.3218 0.3388
0.5284 0.6278 0.6211
0.5329 0.6512 0.7279
0.5363 0.2880 0.9420
0.6042 0.7867 0.4407
0.6098 0.1512 0.2278
0.6142 0.1282 0.1211
0.6260 0.8201 0.8397
0.6286 0.4844 0.8964
0.6311 0.4643 0.7810
0.6399 0.8226 0.5549
0.6453 0.7948 0.1673
0.6491 0.1378 0.8334
0.6490 0.4878 0.1769
0.6511 0.4532 0.5014
0.6526 0.1535 0.5086
0.6891 0.5653 0.3955
0.6934 0.7183 0.9461
0.7005 0.2346 0.7310
0.7016 0.0492 0.6167
0.7051 0.8943 0.0606
0.7104 0.0635 0.3350
0.7102 0.5631 0.6774
0.7138 0.3803 0.2875
0.7185 0.2219 0.0120
0.7176 0.7127 0.6681
0.7227 0.3891 0.0004
0.7226 0.8926 0.3385
0.7334 0.0485 0.0118
0.7340 0.5658 0.0027
0.7364 0.3618 0.3932
0.7377 0.2416 0.3322
0.7396 0.3865 0.6753
0.7398 0.5732 0.2797
0.7412 0.7049 0.0636
0.7419 0.2445 0.6127
0.7475 0.8961 0.6654
0.7477 0.9162 0.9455
0.7496 0.0228 0.7325
0.7604 0.7136 0.3373
0.8857 0.0214 0.2296
0.8871 0.7133 0.8417
0.8919 0.0483 0.5105
0.8918 0.5660 0.5065
0.8942 0.9191 0.4425
0.8989 0.2459 0.8377
0.8991 0.7064 0.5613
0.9016 0.5757 0.7796
0.9016 0.8946 0.1628
0.9028 0.2498 0.1135
0.9091 0.3702 0.8942
0.9098 0.3866 0.1777
0.9221 0.8883 0.8406
0.9269 0.0589 0.8387
0.9273 0.2322 0.5106
0.9278 0.7124 0.1660
0.9293 0.3810 0.7883
0.9309 0.5600 0.8933
0.9333 0.3823 0.5030
0.9379 0.8974 0.5596
0.9394 0.5630 0.1757
0.9402 0.7127 0.4434
0.9421 0.2338 0.2325
0.9483 0.0486 0.1141
0.9918 0.7946 0.6681
0.9943 0.4863 0.6792
0.9965 0.4578 0.9994
0.9982 0.1322 0.3381
0.9994 0.1488 0.0058
```

space-group type	No. 1
DFT total energy	-6.7214	eV per atom
total energy after the MP2020 corrections	-1752.40	eV for the cell shown